First-principles (GGA-PBE) data for a relaxed MgV4Cu2S8 crystal, as listed in the Materials Project database.

Geometry as POSCAR:
```
MgV4Cu2S8
1.0
-3.7142 3.7142 4.9348
3.7142 -3.7142 4.9348
3.7142 3.7142 -4.9348
Mg V Cu S
1 4 2 8
direct
0.0000 0.0000 0.0000
0.1413 0.4536 0.3122
0.1413 0.8291 0.6878
0.1709 0.8587 0.3122
0.5464 0.8587 0.6878
0.5000 0.5000 0.0000
0.7500 0.2500 0.5000
0.3701 0.1164 0.7463
0.3701 0.6238 0.2537
0.3744 0.1152 0.2592
0.3762 0.6299 0.7463
0.8560 0.1152 0.7408
0.8836 0.6299 0.2537
0.8848 0.1440 0.2592
0.8848 0.6256 0.7408
```

Output
Formation energy from the elements in eV/atom: -0.86
Energy with MP2020 corrections in eV for the cell shown: -92.19
Crystal system: tetragonal
V in Å³ per cell: 272.3
Density in g cm⁻³: 3.73
Space group: I-4m2, No. 119

First-principles (GGA-PBE) data for a relaxed GdGeIr crystal, as listed in the Materials Project database.

Geometry as POSCAR:
```
GdGeIr
1.0
6.9814 0.0000 0.0000
0.0000 4.3638 0.0000
0.0000 0.0000 7.6198
Gd Ge Ir
4 4 4
direct
0.0006 0.2500 0.1931
0.4994 0.7500 0.6931
0.5006 0.2500 0.3069
0.9994 0.7500 0.8069
0.2056 0.7500 0.3946
0.2944 0.2500 0.8946
0.7056 0.7500 0.1054
0.7944 0.2500 0.6054
0.1613 0.2500 0.5697
0.3387 0.7500 0.0697
0.6613 0.2500 0.9303
0.8387 0.7500 0.4303
```

Output
Formation energy from the elements in eV/atom: -0.90
Crystal system: orthorhombic
V in Å³ per cell: 232.1
Density in g cm⁻³: 12.08
Space group: Pnma, No. 62

First-principles (GGA-PBE) data for a relaxed NdTiNbBi2O9 crystal, as listed in the Materials Project database.

Geometry as POSCAR:
```
NdTiNbBi2O9
1.0
5.4785 0.0000 0.0000
0.0000 5.5127 0.0000
-2.6554 0.0000 12.6945
Nd Ti Nb Bi O
2 2 2 4 18
direct
0.2448 0.0000 0.9998
0.7552 0.5000 0.0002
0.3321 0.5296 0.1712
0.6679 0.0296 0.8288
0.1742 0.5338 0.8290
0.8258 0.0338 0.1710
0.0183 0.9759 0.6012
0.4231 0.9694 0.3986
0.5769 0.4694 0.6014
0.9817 0.4759 0.3988
0.0171 0.5441 0.6855
0.0282 0.7695 0.1236
0.0958 0.2715 0.1243
0.2449 0.7407 0.5025
0.2588 0.2418 0.5023
0.3226 0.5502 0.3090
0.3258 0.5670 0.9989
0.3696 0.8487 0.8281
0.4665 0.3432 0.8279
0.5335 0.8432 0.1721
0.6304 0.3487 0.1719
0.6742 0.0670 0.0011
0.6774 0.0502 0.6910
0.7412 0.7418 0.4977
0.7551 0.2407 0.4975
0.9042 0.7715 0.8757
0.9718 0.2695 0.8764
0.9829 0.0441 0.3145
```

Output
Formation energy from the elements in eV/atom: -2.85
Energy with MP2020 corrections in eV for the cell shown: -230.07
Crystal system: monoclinic
V in Å³ per cell: 383.4
Density in g cm⁻³: 7.34
Space group: P2_1, No. 4

First-principles (GGA-PBE) data for a relaxed La2Pr2O7 crystal, as listed in the Materials Project database.

Geometry as POSCAR:
```
La2Pr2O7
1.0
0.0000 5.7401 5.7401
5.7401 0.0000 5.7401
5.7401 5.7401 0.0000
La Pr O
4 4 14
direct
0.0000 0.0000 0.0000
0.0000 0.0000 0.5000
0.0000 0.5000 0.0000
0.5000 0.0000 0.0000
0.0000 0.5000 0.5000
0.5000 0.0000 0.5000
0.5000 0.5000 0.0000
0.5000 0.5000 0.5000
0.1250 0.1250 0.1250
0.1447 0.1447 0.6053
0.1447 0.6053 0.1447
0.1447 0.6053 0.6053
0.3947 0.3947 0.8553
0.3947 0.8553 0.3947
0.3947 0.8553 0.8553
0.6053 0.1447 0.1447
0.6053 0.1447 0.6053
0.6053 0.6053 0.1447
0.8553 0.3947 0.3947
0.8553 0.3947 0.8553
0.8553 0.8553 0.3947
0.8750 0.8750 0.8750
```

Output
Formation energy from the elements in eV/atom: -3.33
Energy with MP2020 corrections in eV for the cell shown: -181.48
Crystal system: cubic
V in Å³ per cell: 378.3
Density in g cm⁻³: 5.90
Space group: Fd-3m, No. 227

First-principles (GGA-PBE) data for a relaxed Er2PbS4 crystal, as listed in the Materials Project database.

Geometry as POSCAR:
```
Er2PbS4
1.0
12.0268 0.0000 0.0000
0.0000 3.9743 0.0000
0.0000 0.0000 14.2962
Er Pb S
8 4 16
direct
0.0630 0.2500 0.1100
0.0819 0.2500 0.5980
0.4181 0.7500 0.0980
0.4370 0.7500 0.6100
0.5630 0.2500 0.3900
0.5819 0.2500 0.9020
0.9181 0.7500 0.4020
0.9370 0.7500 0.8900
0.2374 0.2500 0.3313
0.2626 0.7500 0.8313
0.7374 0.2500 0.1687
0.7626 0.7500 0.6687
0.0236 0.7500 0.7137
0.0852 0.2500 0.9223
0.1294 0.7500 0.4709
0.2066 0.7500 0.1690
0.2934 0.2500 0.6690
0.3706 0.2500 0.9709
0.4148 0.7500 0.4223
0.4764 0.2500 0.2137
0.5236 0.7500 0.7863
0.5852 0.2500 0.5777
0.6294 0.7500 0.0291
0.7066 0.7500 0.3310
0.7934 0.2500 0.8310
0.8706 0.2500 0.5291
0.9148 0.7500 0.0777
0.9764 0.2500 0.2863
```

Output
Formation energy from the elements in eV/atom: -1.92
Energy with MP2020 corrections in eV for the cell shown: -171.24
Crystal system: orthorhombic
V in Å³ per cell: 683.3
Density in g cm⁻³: 6.51
Space group: Pnma, No. 62

First-principles (GGA-PBE) data for a relaxed Li48P16S61 crystal, as listed in the Materials Project database.

Geometry as POSCAR:
```
Li48P16S61
1.0
12.4887 0.0000 0.0000
0.0000 16.2303 0.0000
-0.0357 0.0000 13.0883
Li P S
48 16 61
direct
0.0000 0.1054 0.0000
0.0003 0.3940 0.0029
0.0003 0.6060 0.0029
0.0000 0.8946 0.0000
0.0510 0.1231 0.6682
0.0510 0.8769 0.6682
0.0552 0.3741 0.6670
0.0552 0.6259 0.6670
0.0998 0.1516 0.3384
0.0999 0.3478 0.3384
0.0999 0.6522 0.3384
0.0998 0.8484 0.3384
0.2508 0.1404 0.8365
0.2506 0.3588 0.8366
0.2506 0.6412 0.8366
0.2508 0.8596 0.8365
0.3257 0.1386 0.1609
0.3258 0.3616 0.1606
0.3258 0.6384 0.1606
0.3257 0.8614 0.1609
0.3620 0.1077 0.5008
0.3620 0.8923 0.5008
0.3641 0.3912 0.5018
0.3641 0.6088 0.5018
0.5019 0.1073 0.0007
0.5019 0.8927 0.0007
0.5027 0.3928 0.0002
0.5027 0.6072 0.0002
0.5401 0.1380 0.6613
0.5401 0.8620 0.6613
0.5590 0.3755 0.6696
0.5590 0.6245 0.6696
0.6129 0.3586 0.3355
0.6129 0.6414 0.3355
0.6136 0.1404 0.3367
0.6136 0.8596 0.3367
0.7519 0.3591 0.8352
0.7519 0.6409 0.8352
0.7662 0.1528 0.8400
0.7662 0.8472 0.8400
0.8119 0.3764 0.1691
0.8119 0.6236 0.1691
0.8128 0.1228 0.1686
0.8128 0.8772 0.1686
0.8617 0.3910 0.4988
0.8617 0.6090 0.4988
0.8649 0.1055 0.4996
0.8649 0.8945 0.4996
0.1321 0.2500 0.0791
0.1321 0.7500 0.0791
0.2309 0.2493 0.5780
0.2309 0.7507 0.5780
0.3834 0.5000 0.7580
0.3856 0.0000 0.7578
0.4786 0.0000 0.2580
0.4787 0.5000 0.2580
0.6339 0.2495 0.0796
0.6339 0.7505 0.0796
0.7315 0.2485 0.5795
0.7315 0.7515 0.5795
0.8702 0.0000 0.7573
0.8842 0.5000 0.7578
0.9949 0.0000 0.2575
0.9948 0.5000 0.2575
0.1715 0.1430 0.5135
0.1710 0.2498 0.7265
0.1710 0.7502 0.7265
0.1715 0.8570 0.5135
0.1731 0.3562 0.5129
0.1731 0.6438 0.5129
0.1925 0.3571 0.0175
0.1925 0.6429 0.0175
0.1929 0.1432 0.0177
0.1929 0.8568 0.0177
0.1939 0.2501 0.2292
0.1939 0.7499 0.2292
0.2206 0.5000 0.7684
0.2228 0.0000 0.7685
0.3946 0.2494 0.5667
0.3946 0.7506 0.5667
0.4175 0.0000 0.1088
0.4181 0.5000 0.1086
0.4198 0.1066 0.3223
0.4196 0.3935 0.3221
0.4196 0.6065 0.3221
0.4198 0.8934 0.3223
0.4419 0.3932 0.8220
0.4419 0.6068 0.8220
0.4444 0.1066 0.8221
0.4443 0.5000 0.6089
0.4444 0.8934 0.8221
0.4463 0.0000 0.6088
0.4690 0.2497 0.0667
0.4690 0.7503 0.0667
0.6413 0.0000 0.2691
0.6415 0.5000 0.2696
0.6707 0.2487 0.7292
0.6709 0.3547 0.5156
0.6709 0.6453 0.5156
0.6707 0.7513 0.7292
0.6721 0.1413 0.5177
0.6721 0.8587 0.5177
0.6913 0.1428 0.0144
0.6913 0.3559 0.0149
0.6913 0.6441 0.0149
0.6913 0.8572 0.0144
0.6936 0.2493 0.2280
0.6936 0.7507 0.2280
0.7208 0.5000 0.7689
0.8940 0.2495 0.5688
0.8940 0.7505 0.5688
0.9194 0.5000 0.1091
0.9205 0.0000 0.1089
0.9220 0.1055 0.3230
0.9222 0.3945 0.3234
0.9222 0.6055 0.3234
0.9220 0.8945 0.3230
0.9435 0.1054 0.8231
0.9425 0.3932 0.8221
0.9432 0.5000 0.6084
0.9425 0.6068 0.8221
0.9435 0.8946 0.8231
0.9443 0.0000 0.6088
0.9700 0.2503 0.0672
0.9700 0.7497 0.0672
```

Output
Formation energy from the elements in eV/atom: -1.17
Energy with MP2020 corrections in eV for the cell shown: -576.32
Crystal system: monoclinic
V in Å³ per cell: 2653.0
Density in g cm⁻³: 1.74
Space group: Pm, No. 6

First-principles (GGA-PBE) data for a relaxed K4EuP2Se8 crystal, as listed in the Materials Project database.

Geometry as POSCAR:
```
K4EuP2Se8
1.0
-4.6262 9.6227 5.1739
4.6262 -9.6227 5.1739
4.6262 9.6227 -5.1739
K Eu P Se
8 2 4 16
direct
0.0096 0.2500 0.7596
0.0843 0.6166 0.7009
0.4157 0.1166 0.5323
0.4904 0.2500 0.2404
0.5096 0.7500 0.7596
0.5843 0.8834 0.4677
0.9157 0.3834 0.2991
0.9904 0.7500 0.2404
0.2500 0.2500 0.0000
0.7500 0.7500 0.0000
0.1290 0.2053 0.3343
0.3710 0.7053 0.0763
0.6290 0.2947 0.9237
0.8710 0.7947 0.6657
0.0974 0.8749 0.6236
0.1043 0.9681 0.0724
0.2420 0.2536 0.4956
0.2487 0.6251 0.2225
0.2513 0.4738 0.3764
0.2580 0.7536 0.0116
0.3957 0.4681 0.8637
0.4026 0.0262 0.7775
0.5974 0.9738 0.2225
0.6043 0.5319 0.1363
0.7420 0.2464 0.9884
0.7487 0.5262 0.6236
0.7513 0.3749 0.7775
0.7580 0.7464 0.5044
0.8957 0.0319 0.9276
0.9026 0.1251 0.3764
```

Output
Formation energy from the elements in eV/atom: -1.17
Energy with MP2020 corrections in eV for the cell shown: -142.16
Crystal system: orthorhombic
V in Å³ per cell: 921.3
Density in g cm⁻³: 3.61
Space group: Ibam, No. 72

First-principles (GGA-PBE) data for a relaxed LaOsN3 crystal, as listed in the Materials Project database.

Geometry as POSCAR:
```
LaOsN3
1.0
2.7977 1.6153 4.5379
-2.7977 1.6153 4.5379
0.0000 -3.2305 4.5379
La Os N
2 2 6
direct
0.2500 0.2500 0.2500
0.7500 0.7500 0.7500
0.0000 0.0000 0.0000
0.5000 0.5000 0.5000
0.2061 0.7500 0.2939
0.2500 0.7061 0.7939
0.2939 0.2061 0.7500
0.7061 0.7939 0.2500
0.7500 0.2939 0.2061
0.7939 0.2500 0.7061
```

Output
Formation energy from the elements in eV/atom: -0.58
Energy with MP2020 corrections in eV for the cell shown: -88.11
Crystal system: trigonal
V in Å³ per cell: 123.0
Density in g cm⁻³: 10.02
Space group: R-3c, No. 167

First-principles (GGA-PBE) data for a relaxed Na4Y2Hf2Si3S3O24 crystal, as listed in the Materials Project database.

Geometry as POSCAR:
```
Na4Y2Hf2Si3S3O24
1.0
9.1786 0.0000 0.0000
4.5693 7.9956 0.0000
0.0740 -0.0045 23.4856
Na Y Hf Si S O
12 6 6 9 9 72
direct
0.0000 0.0000 0.0000
0.0037 0.6674 0.5934
0.0287 0.6580 0.0799
0.0398 0.3453 0.1622
0.3333 0.3250 0.6810
0.3560 0.0197 0.7656
0.3688 0.6674 0.8506
0.3754 0.9896 0.2564
0.6540 0.6782 0.3398
0.6736 0.3352 0.4317
0.6827 0.3302 0.9205
0.7036 0.9977 0.5127
0.0188 0.6701 0.4475
0.0254 0.6607 0.9443
0.3599 0.0048 0.6113
0.3596 0.9951 0.1087
0.6775 0.3368 0.2776
0.6938 0.3199 0.7803
0.0124 0.6874 0.7455
0.3290 0.0230 0.9074
0.3687 0.0048 0.4124
0.6755 0.3684 0.0688
0.6797 0.3385 0.5732
0.9974 0.6879 0.2406
0.0203 0.9692 0.8478
0.0535 0.3029 0.0153
0.3084 0.3765 0.8393
0.3491 0.7168 0.0068
0.3540 0.3037 0.5130
0.6448 0.7030 0.5091
0.6824 0.6378 0.1804
0.6930 0.0370 0.6745
0.7167 0.9722 0.3462
0.0249 0.3763 0.3408
0.0541 0.0170 0.5087
0.3045 0.6838 0.3414
0.3812 0.3492 0.1763
0.3878 0.6286 0.6766
0.6419 0.0173 0.0097
0.7163 0.6844 0.8418
0.9722 0.3499 0.6746
0.9750 0.0428 0.1765
0.0127 0.4925 0.0088
0.0250 0.8734 0.5027
0.0442 0.8421 0.7922
0.0472 0.4597 0.2885
0.1409 0.0340 0.4571
0.1410 0.1985 0.6705
0.1416 0.0308 0.1738
0.1499 0.9943 0.5604
0.1512 0.2253 0.0749
0.1531 0.1748 0.9607
0.1728 0.2082 0.3465
0.1792 0.7039 0.0062
0.1920 0.4680 0.7806
0.2039 0.4902 0.5032
0.2040 0.6935 0.2899
0.2042 0.9662 0.8489
0.2129 0.5053 0.1829
0.2201 0.4953 0.8933
0.2235 0.6289 0.6798
0.2315 0.6584 0.3927
0.3168 0.8400 0.3446
0.3251 0.2267 0.5703
0.3272 0.8253 0.0632
0.3325 0.1881 0.8490
0.3502 0.2063 0.1730
0.3545 0.7999 0.6682
0.3789 0.8056 0.9501
0.3839 0.1717 0.4579
0.4678 0.3647 0.1254
0.4800 0.5176 0.6262
0.4798 0.5399 0.3365
0.4819 0.3245 0.2279
0.4863 0.3771 0.8356
0.4857 0.5596 0.7286
0.5186 0.5277 0.0156
0.5200 0.0258 0.6730
0.5278 0.7958 0.4499
0.5281 0.8259 0.1759
0.5320 0.9736 0.3481
0.5373 0.0390 0.9592
0.5384 0.2995 0.5161
0.5503 0.8395 0.8454
0.5523 0.8282 0.5610
0.5675 0.9944 0.0621
0.6556 0.1653 0.7262
0.6591 0.1711 0.0169
0.6647 0.5171 0.5171
0.6712 0.5521 0.2393
0.6880 0.5414 0.8336
0.6887 0.1582 0.3387
0.7134 0.1337 0.6161
0.7130 0.5070 0.1262
0.8080 0.7007 0.7908
0.8126 0.8724 0.0047
0.8139 0.6576 0.8936
0.8191 0.8422 0.2902
0.8227 0.8840 0.4021
0.8247 0.6972 0.5042
0.8627 0.8508 0.6830
0.8677 0.3652 0.6235
0.8681 0.6384 0.1849
0.8687 0.3658 0.3355
0.8701 0.1585 0.8407
0.8721 0.2972 0.0193
0.8738 0.1146 0.1248
0.8844 0.1723 0.5126
0.8909 0.1469 0.2270
0.8917 0.3373 0.7265
0.9931 0.8917 0.9053
0.9947 0.5002 0.6767
0.9982 0.8701 0.1857
0.9990 0.4825 0.3908
```

Output
Formation energy from the elements in eV/atom: -2.88
Energy with MP2020 corrections in eV for the cell shown: -885.44
Crystal system: triclinic
V in Å³ per cell: 1723.6
Density in g cm⁻³: 3.44
Space group: P1, No. 1